Here is an optimized crystal structure of MgMnGe2O6 from the Materials Project. Energies are from GGA+U.

Properties
The value obtained for the energy relative to the lowest polymorph listed for this composition is 0 meV/atom. The energy with MP2020 corrections comes out at -7.30 eV per atom. Its space group is C2/c. For the formation energy, the calculation gives -2.33 eV per atom.

Lattice parameters (Å, degrees): 5.269 6.775 6.775 86.71 82.39 82.39
Fractional positions:
O1 0.111 0.149 0.620
Ge1 0.784 0.395 0.209
O2 0.143 0.783 0.977
Ge2 0.216 0.605 0.791
O3 0.406 0.710 0.572
O4 0.594 0.290 0.428
O5 0.906 0.572 0.710
Mn1 0.250 0.094 0.906
Mg1 0.250 0.728 0.272
Ge3 0.716 0.791 0.605
O6 0.389 0.380 0.851
O7 0.857 0.217 0.023
Mn2 0.750 0.906 0.094
O8 0.889 0.851 0.380
Mg2 0.750 0.272 0.728
Ge4 0.284 0.209 0.395
O9 0.094 0.428 0.290
O10 0.611 0.620 0.149
O11 0.643 0.977 0.783
O12 0.357 0.023 0.217